(1)
{
  "formula": "Na15Ca7Nb5Si9S9O72",
  "functional": "PBE-GGA",
  "state": "relaxed",
  "crystal_system": "triclinic",
  "space_group": "P1",
  "cell": [[-5.758, 2.850, -6.675], [-1.801, -7.843, 4.542], [-12.257, 11.554, 15.651]],
  "species": ["O", "S", "O", "O", "Ca", "O", "O", "O", "O", "O", "S", "Si", "O", "O", "O", "O", "Si", "O", "O", "O", "O", "O", "O", "O", "Na", "O", "O", "Na", "O", "O", "Ca", "O", "Ca", "Si", "O", "O", "Nb", "O", "O", "O", "Na", "O", "O", "Na", "O", "O", "O", "O", "O", "O", "Si", "O", "Na", "O", "Nb", "O", "O", "Nb", "O", "O", "O", "O", "Ca", "O", "Na", "O", "Na", "O", "O", "Si", "Na", "Na", "Nb", "Na", "Si", "O", "O", "Si", "S", "O", "O", "O", "Nb", "Ca", "O", "Na", "Na", "Ca", "S", "O", "O", "O", "O", "Ca", "Na", "S", "O", "O", "S", "O", "O", "Si", "O", "Na", "Na", "O", "O", "O", "S", "S", "O", "O", "O", "O", "S", "O", "Si"],
  "frac_coords": [[0.137, 0.506, 0.868], [0.378, 0.049, 0.581], [0.876, 0.551, 0.141], [0.517, 0.816, 0.754], [0.010, 0.993, 0.647], [0.208, 0.037, 0.907], [0.692, 0.171, 0.034], [0.997, 0.771, 0.817], [0.857, 0.385, 0.931], [0.765, 0.006, 0.808], [0.355, 0.308, 0.081], [0.030, 0.366, 0.925], [0.853, 0.552, 0.034], [0.984, 0.211, 0.302], [0.118, 0.472, 0.579], [0.858, 0.480, 0.428], [0.694, 0.703, 0.256], [0.194, 0.144, 0.083], [0.977, 0.798, 0.410], [0.615, 0.134, 0.419], [0.531, 0.854, 0.085], [0.548, 0.872, 0.468], [0.160, 0.973, 0.199], [0.845, 0.515, 0.748], [0.331, 0.993, 0.742], [0.033, 0.216, 0.197], [0.335, 0.495, 0.752], [0.708, 0.361, 0.829], [0.125, 0.664, 0.083], [0.173, 0.723, 0.467], [0.336, 0.673, 0.020], [0.676, 0.544, 0.633], [0.681, 0.336, 0.684], [0.332, 0.967, 0.919], [0.369, 0.870, 0.861], [0.348, 0.477, 0.475], [0.990, 0.981, 0.148], [0.216, 0.040, 0.572], [0.508, 0.883, 0.363], [0.194, 0.184, 0.418], [0.362, 0.679, 0.156], [0.810, 0.838, 0.198], [0.787, 0.796, 0.313], [0.301, 0.000, 0.410], [0.619, 0.473, 0.929], [0.449, 0.301, 0.027], [0.532, 0.652, 0.577], [0.451, 0.324, 0.133], [0.231, 0.233, 0.806], [0.688, 0.528, 0.248], [0.337, 0.373, 0.421], [0.511, 0.701, 0.256], [0.288, 0.647, 0.668], [0.359, 0.498, 0.360], [0.319, 0.649, 0.312], [0.775, 0.977, 0.703], [0.219, 0.003, 0.315], [0.322, 0.665, 0.825], [0.866, 0.036, 0.093], [0.486, 0.131, 0.247], [0.204, 0.234, 0.700], [0.847, 0.328, 0.530], [0.999, 0.000, 0.846], [0.366, 0.884, 0.581], [0.989, 0.694, 0.914], [0.964, 0.167, 0.572], [0.693, 0.986, 0.922], [0.788, 0.006, 0.407], [0.815, 0.804, 0.909], [0.625, 0.658, 0.917], [0.025, 0.023, 0.495], [0.984, 0.650, 0.250], [0.674, 0.345, 0.476], [0.659, 0.641, 0.759], [0.681, 0.039, 0.091], [0.269, 0.836, 0.971], [0.288, 0.802, 0.255], [0.013, 0.694, 0.756], [0.677, 0.982, 0.752], [0.628, 0.113, 0.746], [0.453, 0.132, 0.636], [0.686, 0.129, 0.150], [0.661, 0.315, 0.980], [0.007, 0.010, 0.351], [0.323, 0.448, 0.077], [0.695, 0.684, 0.404], [0.622, 0.321, 0.318], [0.652, 0.327, 0.183], [0.014, 0.305, 0.248], [0.188, 0.674, 0.761], [0.064, 0.829, 0.702], [0.526, 0.136, 0.928], [0.885, 0.353, 0.240], [0.327, 0.665, 0.520], [0.636, 0.997, 0.235], [0.678, 0.631, 0.579], [0.180, 0.469, 0.251], [0.491, 0.154, 0.530], [0.307, 0.320, 0.751], [0.475, 0.333, 0.747], [0.674, 0.519, 0.527], [0.039, 0.665, 0.417], [0.152, 0.433, 0.978], [0.309, 0.315, 0.923], [0.002, 0.001, 0.991], [0.966, 0.809, 0.088], [0.525, 0.369, 0.422], [0.873, 0.315, 0.635], [0.954, 0.320, 0.580], [0.956, 0.635, 0.086], [0.972, 0.178, 0.908], [0.504, 0.625, 0.855], [0.835, 0.789, 0.572], [0.132, 0.630, 0.357], [0.617, 0.969, 0.415], [0.542, 0.710, 0.966], [0.295, 0.991, 0.255]]
}

(2)
{
  "formula": "Na30Ca16Nb8Si15S21O144",
  "functional": "PBE-GGA",
  "state": "relaxed",
  "crystal_system": "triclinic",
  "space_group": "P1",
  "cell": [[18.594, 0.021, -0.021], [-4.639, 8.035, 0.007], [-0.027, 0.006, 23.321]],
  "species": ["S", "O", "Na", "O", "O", "O", "O", "Ca", "Na", "Ca", "O", "O", "O", "Na", "Nb", "O", "O", "Si", "O", "Na", "Na", "Si", "S", "S", "Ca", "O", "O", "O", "O", "O", "O", "Nb", "O", "O", "O", "O", "S", "O", "O", "O", "Na", "O", "O", "Ca", "Si", "Ca", "Na", "Na", "O", "O", "Na", "O", "O", "O", "Na", "O", "S", "O", "O", "S", "O", "O", "O", "Ca", "Na", "O", "O", "O", "O", "O", "O", "O", "O", "S", "O", "O", "O", "O", "O", "Na", "O", "O", "O", "O", "Nb", "Na", "Si", "O", "O", "O", "O", "O", "S", "Ca", "O", "O", "Si", "O", "Si", "O", "O", "O", "Ca", "Si", "O", "O", "O", "Ca", "O", "O", "O", "O", "O", "Na", "Na", "Ca", "O", "S", "O", "Na", "O", "O", "O", "O", "Na", "O", "Na", "O", "O", "O", "O", "O", "S", "Nb", "O", "S", "O", "Na", "O", "O", "S", "Ca", "S", "O", "O", "S", "Si", "O", "Nb", "O", "O", "O", "O", "O", "O", "Si", "O", "O", "Na", "O", "O", "O", "O", "S", "S", "O", "O", "O", "Na", "S", "Na", "O", "O", "Na", "O", "O", "O", "O", "Na", "O", "O", "O", "O", "Nb", "Na", "Si", "Na", "O", "O", "O", "Si", "O", "Si", "S", "Si", "Ca", "O", "O", "Na", "O", "O", "O", "Ca", "O", "O", "O", "Nb", "O", "O", "Na", "O", "S", "Ca", "S", "O", "O", "Nb", "Na", "Si", "Ca", "O", "O", "O", "O", "Na", "Ca", "O", "S", "O", "Si", "O", "O", "O", "O"],
  "frac_coords": [[0.810, 0.960, 0.412], [0.669, 0.474, 0.463], [0.001, 0.001, 0.997], [0.574, 0.489, 0.864], [0.992, 0.826, 0.091], [0.075, 0.661, 0.362], [0.510, 0.216, 0.914], [0.835, 0.337, 0.980], [0.828, 0.031, 0.250], [0.334, 0.322, 0.487], [0.565, 0.465, 0.969], [0.094, 0.480, 0.260], [0.672, 0.485, 0.359], [0.836, 0.339, 0.825], [0.168, 0.668, 0.308], [0.266, 0.661, 0.965], [0.259, 0.808, 0.760], [0.347, 0.996, 0.754], [0.332, 0.561, 0.641], [0.166, 0.665, 0.155], [0.978, 0.287, 0.421], [0.001, 0.709, 0.750], [0.169, 0.384, 0.412], [0.340, 0.028, 0.088], [0.333, 0.329, 0.678], [0.399, 0.966, 0.698], [0.580, 0.962, 0.200], [0.167, 0.473, 0.463], [0.394, 0.982, 0.412], [0.851, 0.134, 0.038], [0.646, 0.815, 0.261], [0.498, 0.014, 0.658], [0.443, 0.501, 0.409], [0.892, 0.809, 0.913], [0.248, 0.120, 0.910], [0.157, 0.461, 0.084], [0.670, 0.383, 0.413], [0.910, 0.774, 0.305], [0.271, 0.855, 0.081], [0.929, 0.518, 0.742], [0.983, 0.627, 0.251], [0.350, 0.562, 0.537], [0.951, 0.567, 0.142], [0.332, 0.343, 0.986], [0.349, 0.702, 0.253], [0.334, 0.337, 0.177], [0.162, 0.642, 0.655], [0.663, 0.643, 0.654], [0.445, 0.542, 0.142], [0.765, 0.661, 0.965], [0.012, 0.669, 0.593], [0.171, 0.487, 0.359], [0.319, 0.131, 0.742], [0.767, 0.873, 0.463], [0.479, 0.669, 0.916], [0.348, 0.136, 0.038], [0.170, 0.957, 0.914], [0.936, 0.569, 0.038], [0.496, 0.152, 0.597], [0.987, 0.657, 0.088], [0.591, 0.963, 0.912], [0.422, 0.028, 0.091], [0.081, 0.493, 0.581], [0.672, 0.668, 0.520], [0.498, 0.009, 0.508], [0.518, 0.839, 0.698], [0.408, 0.775, 0.307], [0.442, 0.383, 0.911], [0.836, 0.104, 0.142], [0.395, 0.808, 0.915], [0.593, 0.705, 0.761], [0.924, 0.815, 0.589], [0.266, 0.871, 0.463], [0.522, 0.384, 0.916], [0.981, 0.789, 0.803], [0.716, 0.331, 0.141], [0.718, 0.303, 0.037], [0.943, 0.347, 0.639], [0.017, 0.190, 0.202], [0.512, 0.669, 0.592], [0.487, 0.196, 0.312], [0.080, 0.200, 0.700], [0.425, 0.815, 0.590], [0.996, 0.152, 0.595], [0.666, 0.666, 0.308], [0.480, 0.289, 0.419], [0.649, 0.300, 0.755], [0.085, 0.160, 0.093], [0.215, 0.102, 0.640], [0.585, 0.003, 0.589], [0.496, 0.839, 0.097], [0.260, 0.712, 0.259], [0.669, 0.957, 0.913], [0.167, 0.665, 0.018], [0.774, 0.690, 0.581], [0.095, 0.970, 0.913], [0.849, 0.702, 0.252], [0.244, 0.368, 0.409], [0.849, 0.997, 0.754], [0.645, 0.478, 0.761], [0.437, 0.574, 0.024], [0.943, 0.500, 0.409], [0.172, 0.668, 0.520], [0.488, 0.647, 0.084], [0.924, 0.023, 0.091], [0.115, 0.181, 0.809], [0.824, 0.513, 0.239], [0.833, 0.321, 0.488], [0.091, 0.222, 0.411], [0.982, 0.198, 0.314], [0.760, 0.709, 0.259], [0.066, 0.471, 0.966], [0.428, 0.520, 0.743], [0.328, 0.625, 0.752], [0.180, 0.030, 0.751], [0.000, 0.994, 0.351], [0.587, 0.165, 0.088], [0.343, 0.653, 0.587], [0.066, 0.663, 0.467], [0.483, 0.617, 0.239], [0.761, 0.809, 0.760], [0.591, 0.222, 0.412], [0.615, 0.181, 0.808], [0.215, 0.129, 0.536], [0.330, 0.336, 0.324], [0.672, 0.862, 0.860], [0.682, 0.336, 0.248], [0.901, 0.838, 0.196], [0.241, 0.351, 0.740], [0.215, 0.332, 0.142], [0.895, 0.983, 0.413], [0.713, 0.127, 0.536], [0.310, 0.959, 0.412], [0.999, 0.015, 0.657], [0.086, 0.006, 0.588], [0.671, 0.025, 0.587], [0.940, 0.375, 0.910], [0.683, 0.031, 0.751], [0.241, 0.134, 0.239], [0.486, 0.777, 0.813], [0.023, 0.660, 0.414], [0.834, 0.334, 0.177], [0.809, 0.660, 0.914], [0.144, 0.811, 0.261], [0.400, 0.834, 0.197], [0.310, 0.661, 0.913], [0.148, 0.300, 0.755], [0.170, 0.854, 0.861], [0.164, 0.668, 0.808], [0.932, 0.346, 0.240], [0.322, 0.511, 0.242], [0.816, 0.126, 0.407], [0.911, 0.048, 0.807], [0.940, 0.297, 0.522], [0.444, 0.349, 0.640], [0.148, 0.997, 0.253], [0.580, 0.199, 0.700], [0.261, 0.857, 0.359], [0.184, 0.335, 0.250], [0.518, 0.199, 0.198], [0.427, 0.334, 0.243], [0.742, 0.352, 0.739], [0.092, 0.707, 0.760], [0.844, 0.031, 0.088], [0.171, 0.026, 0.586], [0.329, 0.097, 0.142], [0.849, 0.560, 0.537], [0.901, 0.966, 0.698], [0.824, 0.331, 0.326], [0.022, 0.383, 0.914], [0.997, 0.008, 0.509], [0.072, 0.486, 0.861], [0.758, 0.660, 0.861], [0.330, 0.036, 0.250], [0.160, 0.855, 0.582], [0.275, 0.691, 0.581], [0.592, 0.483, 0.260], [0.744, 0.123, 0.911], [0.326, 0.318, 0.824], [0.715, 0.101, 0.640], [0.667, 0.864, 0.964], [0.211, 0.297, 0.038], [0.660, 0.464, 0.081], [0.667, 0.667, 0.808], [0.482, 0.345, 0.742], [0.002, 0.300, 0.256], [0.663, 0.684, 0.152], [0.316, 0.507, 0.909], [0.080, 0.962, 0.197], [0.580, 0.665, 0.082], [0.501, 0.708, 0.754], [0.019, 0.833, 0.691], [0.989, 0.328, 0.584], [0.842, 0.652, 0.587], [0.649, 0.999, 0.254], [0.500, 0.009, 0.851], [0.743, 0.136, 0.239], [0.831, 0.561, 0.641], [0.982, 0.345, 0.743], [0.073, 0.685, 0.083], [0.315, 0.124, 0.407], [0.763, 0.860, 0.359], [0.671, 0.676, 0.019], [0.617, 0.053, 0.308], [0.576, 0.661, 0.363], [0.659, 0.854, 0.582], [0.499, 0.983, 0.156], [0.112, 0.047, 0.306], [0.512, 0.805, 0.412], [0.833, 0.629, 0.753], [0.171, 0.867, 0.966], [0.170, 0.316, 0.089], [0.001, 0.003, 0.852], [0.523, 0.661, 0.414], [0.012, 0.805, 0.412], [0.263, 0.665, 0.860], [0.000, 0.000, 0.158], [0.496, 0.986, 0.003], [0.501, 0.293, 0.254], [0.502, 0.994, 0.350], [0.145, 0.479, 0.761], [0.774, 0.859, 0.083], [0.820, 0.130, 0.742], [0.014, 0.218, 0.913], [0.513, 0.354, 0.088], [0.834, 0.328, 0.678], [0.813, 0.504, 0.909], [0.673, 0.318, 0.086], [0.581, 0.494, 0.581], [0.489, 0.328, 0.584], [0.409, 0.045, 0.806], [0.566, 0.664, 0.467], [0.439, 0.296, 0.523], [0.744, 0.367, 0.409]]
}

(3)
{
  "formula": "Na3CaNb5Si6S3O36",
  "functional": "PBE-GGA",
  "state": "relaxed",
  "crystal_system": "monoclinic",
  "space_group": "Cc",
  "cell": [[-2.873, -1.180, 8.393], [8.750, 0.876, -1.664], [-1.893, 23.025, 2.692]],
  "species": ["S", "O", "O", "Nb", "O", "Nb", "O", "Nb", "O", "S", "O", "Nb", "O", "O", "O", "Ca", "O", "O", "O", "O", "O", "Na", "Si", "Nb", "Ca", "O", "O", "O", "O", "O", "O", "Nb", "O", "Si", "O", "O", "O", "O", "O", "S", "Nb", "O", "O", "O", "S", "O", "Nb", "O", "O", "O", "Na", "O", "O", "O", "O", "Si", "O", "Na", "O", "O", "O", "O", "Na", "O", "O", "Si", "O", "O", "Si", "S", "O", "Si", "O", "Si", "O", "O", "Si", "O", "O", "S", "O", "O", "O", "O", "O", "O", "Nb", "O", "Si", "O", "O", "O", "Na", "O", "O", "O", "O", "O", "Si", "Si", "O", "O", "Na", "O", "O", "Nb", "Si", "O"],
  "frac_coords": [[0.005, 0.719, 0.751], [0.157, 0.663, 0.070], [0.520, 0.816, 0.758], [0.987, 0.988, 0.642], [0.028, 0.192, 0.907], [0.324, 0.656, 0.316], [0.139, 0.501, 0.859], [0.664, 0.347, 0.977], [0.629, 0.524, 0.642], [0.281, 0.287, 0.752], [0.993, 0.166, 0.306], [0.322, 0.658, 0.018], [0.500, 0.638, 0.860], [0.836, 0.818, 0.590], [0.634, 0.105, 0.135], [0.674, 0.340, 0.186], [0.851, 0.354, 0.926], [0.698, 0.147, 0.031], [0.030, 0.824, 0.698], [0.166, 0.187, 0.407], [0.834, 0.007, 0.806], [0.667, 0.324, 0.831], [0.617, 0.957, 0.415], [0.012, 0.013, 0.142], [0.660, 0.326, 0.686], [0.027, 0.188, 0.195], [0.813, 0.834, 0.907], [0.900, 0.518, 0.141], [0.176, 0.970, 0.198], [0.364, 0.862, 0.860], [0.024, 0.834, 0.405], [0.653, 0.336, 0.477], [0.976, 0.820, 0.092], [0.619, 0.669, 0.918], [0.298, 0.467, 0.473], [0.833, 0.304, 0.255], [0.349, 0.503, 0.070], [0.303, 0.834, 0.972], [0.812, 0.973, 0.695], [0.713, 0.719, 0.252], [0.995, 0.006, 0.359], [0.533, 0.835, 0.471], [0.697, 0.532, 0.525], [0.507, 0.145, 0.926], [0.665, 0.038, 0.082], [0.292, 0.460, 0.757], [0.342, 0.678, 0.518], [0.853, 0.549, 0.748], [0.191, 0.010, 0.303], [0.834, 0.529, 0.026], [0.002, 0.997, 0.000], [0.337, 0.843, 0.570], [0.533, 0.702, 0.973], [0.180, 0.024, 0.592], [0.497, 0.651, 0.570], [0.710, 0.999, 0.752], [0.499, 0.861, 0.359], [0.343, 0.674, 0.665], [0.451, 0.147, 0.248], [0.296, 0.835, 0.256], [0.182, 0.164, 0.090], [0.193, 0.179, 0.804], [0.326, 0.657, 0.165], [0.184, 0.480, 0.258], [0.853, 0.302, 0.531], [0.383, 0.343, 0.084], [0.165, 0.704, 0.756], [0.696, 0.167, 0.755], [0.331, 0.381, 0.418], [0.962, 0.335, 0.582], [0.468, 0.303, 0.025], [0.335, 0.958, 0.918], [0.646, 0.149, 0.426], [0.959, 0.625, 0.084], [0.471, 0.166, 0.526], [0.515, 0.862, 0.073], [0.043, 0.383, 0.915], [0.138, 0.636, 0.360], [0.166, 0.697, 0.472], [0.281, 0.995, 0.251], [0.165, 0.467, 0.971], [0.177, 0.204, 0.699], [0.895, 0.366, 0.635], [0.981, 0.175, 0.589], [0.796, 0.823, 0.199], [0.692, 0.547, 0.250], [0.994, 0.005, 0.859], [0.502, 0.360, 0.423], [0.042, 0.665, 0.418], [0.808, 0.972, 0.407], [0.821, 0.807, 0.304], [0.855, 0.493, 0.426], [0.676, 0.333, 0.331], [0.640, 0.498, 0.923], [0.990, 0.809, 0.803], [0.453, 0.308, 0.750], [0.540, 0.708, 0.257], [0.482, 0.100, 0.641], [0.657, 0.617, 0.584], [0.001, 0.290, 0.252], [0.362, 0.500, 0.360], [0.166, 0.976, 0.905], [0.003, 0.998, 0.500], [0.138, 0.485, 0.573], [0.476, 0.371, 0.142], [0.344, 0.676, 0.816], [0.375, 0.041, 0.584], [0.825, 0.019, 0.089]]
}

What magnetization values result from the calculations? In sequence: 0.00; 0.00; 0.00 μB/f.u..
What energy of formation from the pure elements values result from the calculations? In sequence: -2.61; -2.60; -2.78 eV/atom.